[1]
Below is a geometry-optimized Eu2SiO4 structure, with properties calculated at the PBE level.

The structure in extended XYZ format:
```
28
Lattice="-1.844 -4.336 -3.105 1.777 -4.492 5.218 -8.981 1.008 3.926" Properties=species:S:1:pos:R:3 pbc="T T T"
O -7.047 -4.857 5.942
O -2.886 -5.045 -1.394
O 0.351 -4.694 3.782
O -5.402 -0.714 4.103
Si -3.756 -6.334 3.384
O -2.761 -5.025 3.426
O -5.309 -5.732 3.466
Eu -1.342 -3.131 2.606
O -3.646 -7.106 1.936
O -3.739 -2.088 2.573
O -9.399 -3.127 2.257
O -3.821 -4.960 6.631
Eu -7.706 -4.689 3.433
Eu -1.405 -5.271 5.631
Si -7.431 -3.393 6.587
O -1.107 -5.470 0.604
O -2.001 -2.963 0.097
O -7.940 -2.351 5.435
Eu -4.636 -4.357 1.147
Eu -8.533 -0.854 3.697
O -6.287 -2.796 2.613
Eu -0.514 -6.966 2.342
Eu -7.643 -2.550 0.408
O -6.162 -2.776 7.433
O -5.227 -2.861 -0.592
Si -1.617 -4.428 -0.548
Si -5.292 -1.486 2.655
Eu -4.412 -3.463 4.892
```

Summary:
The energy comes out at -265.6 eV/cell. The density is 6.7 g/cm3. As for the formation enthalpy at 0 K: -23.4 eV/f.u. Its polymorph energy (0 for the lowest one) is 14.3 meV per atom.

---

[2]
Below is a geometry-optimized LaInRh structure, with properties calculated at the PBE level.

The structure in extended XYZ format:
```
9
Lattice="3.854 -6.676 0.000 3.854 6.676 0.000 0.000 0.000 4.141" Properties=species:S:1:pos:R:3 pbc="T T T"
La 2.258 3.911 2.071
Rh 3.854 2.225 0.000
In 5.813 0.000 0.000
Rh 0.000 0.000 2.071
La 2.258 -3.911 2.071
La 3.192 0.000 2.071
Rh 3.854 -2.225 0.000
In 0.948 1.642 0.000
In 0.948 -1.642 0.000
```

Summary:
The energy comes out at -51.7 eV/cell. The density is 8.3 g/cm3. As for the formation enthalpy at 0 K: -2.2 eV/f.u.

---

[3]
Below is a geometry-optimized RbHC2O4 structure, with properties calculated at the PBE level.

The structure in extended XYZ format:
```
32
Lattice="-7.610 -6.979 -9.223 1.852 -3.694 1.267 -4.774 -2.245 5.637" Properties=species:S:1:pos:R:3 pbc="T T T"
O -6.981 -6.398 -4.639
O -3.551 -6.520 2.320
C -8.199 -9.297 -3.323
O -10.603 -9.337 -3.418
Rb -7.440 -6.390 -0.782
C -4.688 -7.143 -4.779
C -5.842 -6.364 -4.064
O -9.622 -7.754 -2.129
O -4.984 -7.151 0.683
H -4.255 -3.543 0.558
H -6.277 -9.375 -2.877
C -2.332 -3.621 1.004
O -0.909 -5.164 -0.190
H -1.547 -2.126 -1.872
C -0.920 -4.164 0.602
O -7.191 -8.891 -2.572
Rb -2.673 -5.077 4.683
Rb -7.859 -7.841 -7.002
O -2.432 -2.858 1.969
H -8.984 -10.792 -0.447
C -5.843 -5.775 2.460
O -5.063 -8.007 -5.705
O 0.071 -3.581 1.099
O -5.547 -5.767 -3.002
O -5.468 -4.911 3.386
O -8.100 -10.060 -4.288
C -9.611 -8.754 -2.921
C -4.690 -6.554 1.745
Rb -3.091 -6.528 -1.537
O -3.519 -6.926 -4.447
O -3.341 -4.027 0.253
O -7.013 -5.992 2.128
```

Summary:
The energy comes out at -212.9 eV/cell. The density is 2.6 g/cm3. As for the formation enthalpy at 0 K: -13.3 eV/f.u. The calculation puts the total magnetization at 0.01 Bohr magnetons per cell.